K2AsH13O10: optimized geometry, PBE-GGA. Values from VASP.

Energy of formation from the pure elements ... -1471 meV/atom

```
&SYSTEM
  ibrav = 0, nat = 52, ntyp = 4
/
ATOMIC_SPECIES
K 39.10 K.upf
As 74.92 As.upf
H 1.01 H.upf
O 16.00 O.upf
CELL_PARAMETERS angstrom
4.674 -4.765 0.000
4.674 4.765 0.000
-0.616 0.000 12.851
ATOMIC_POSITIONS crystal
K 0.131 0.869 0.500
K 0.382 0.860 0.215
K 0.860 0.382 0.715
K 0.869 0.131 0.000
As 0.417 0.748 0.755
As 0.748 0.417 0.255
H 0.066 0.992 0.777
H 0.098 0.346 0.492
H 0.147 0.425 0.168
H 0.148 0.560 0.900
H 0.169 0.449 0.340
H 0.202 0.486 0.055
H 0.291 0.876 0.965
H 0.333 0.472 0.647
H 0.346 0.098 0.992
H 0.392 0.469 0.388
H 0.425 0.147 0.668
H 0.449 0.169 0.840
H 0.469 0.392 0.888
H 0.472 0.333 0.147
H 0.486 0.202 0.555
H 0.560 0.148 0.400
H 0.593 0.934 0.450
H 0.617 0.711 0.971
H 0.694 0.730 0.583
H 0.711 0.617 0.471
H 0.730 0.694 0.083
H 0.837 0.912 0.767
H 0.876 0.291 0.465
H 0.912 0.837 0.267
H 0.934 0.593 0.950
H 0.992 0.066 0.277
O 0.021 0.926 0.296
O 0.029 0.489 0.926
O 0.253 0.514 0.397
O 0.257 0.596 0.669
O 0.261 0.476 0.126
O 0.266 0.984 0.017
O 0.322 0.983 0.745
O 0.387 0.662 0.879
O 0.476 0.261 0.626
O 0.489 0.029 0.426
O 0.514 0.253 0.897
O 0.596 0.257 0.169
O 0.656 0.728 0.714
O 0.662 0.387 0.379
O 0.728 0.656 0.214
O 0.736 0.745 0.510
O 0.745 0.736 0.010
O 0.926 0.021 0.796
O 0.983 0.322 0.245
O 0.984 0.266 0.517
```


CrN2: optimized geometry, PBE-GGA. Values from VASP.

Energy of formation from the pure elements ... -18 meV/atom

```
&SYSTEM
  ibrav = 0, nat = 12, ntyp = 2
/
ATOMIC_SPECIES
Cr 52.00 Cr.upf
N 14.01 N.upf
CELL_PARAMETERS angstrom
3.663 -4.014 0.000
3.663 4.014 0.000
-1.633 0.000 7.145
ATOMIC_POSITIONS crystal
Cr 0.014 0.014 0.234
Cr 0.437 0.182 0.578
Cr 0.818 0.563 0.422
Cr 0.986 0.986 0.766
N 0.014 0.703 0.627
N 0.040 0.960 0.000
N 0.209 0.210 0.720
N 0.297 0.986 0.373
N 0.550 0.450 0.500
N 0.691 0.068 0.700
N 0.790 0.791 0.280
N 0.932 0.309 0.300
```


CaGe2Pt2: optimized geometry, PBE-GGA. Values from VASP.

Energy of formation from the pure elements ... -772 meV/atom

```
&SYSTEM
  ibrav = 0, nat = 10, ntyp = 3
/
ATOMIC_SPECIES
Ca 40.08 Ca.upf
Ge 72.64 Ge.upf
Pt 195.08 Pt.upf
CELL_PARAMETERS angstrom
4.244 0.000 0.000
0.000 4.302 0.000
-0.018 0.000 10.412
ATOMIC_POSITIONS crystal
Ca 0.248 0.000 0.249
Ca 0.752 0.500 0.751
Ge 0.240 0.990 0.632
Ge 0.253 0.511 0.997
Ge 0.747 0.011 0.003
Ge 0.760 0.490 0.368
Pt 0.247 0.009 0.866
Pt 0.261 0.488 0.501
Pt 0.739 0.988 0.499
Pt 0.753 0.509 0.134
```


TiC2N6F6: optimized geometry, PBE-GGA. Values from VASP.

Energy of formation from the pure elements ... -108 meV/atom

```
&SYSTEM
  ibrav = 0, nat = 15, ntyp = 4
/
ATOMIC_SPECIES
Ti 47.87 Ti.upf
C 12.01 C.upf
N 14.01 N.upf
F 19.00 F.upf
CELL_PARAMETERS angstrom
5.736 -3.463 0.000
5.736 3.463 0.000
-2.531 0.000 5.611
ATOMIC_POSITIONS crystal
Ti 0.000 0.000 0.000
C 0.278 0.278 0.736
C 0.728 0.728 0.270
N 0.049 0.389 0.727
N 0.389 0.049 0.727
N 0.397 0.397 0.750
N 0.611 0.611 0.269
N 0.617 0.955 0.273
N 0.955 0.617 0.273
F 0.171 0.786 0.200
F 0.178 0.178 0.188
F 0.217 0.824 0.803
F 0.786 0.171 0.200
F 0.823 0.823 0.806
F 0.824 0.217 0.803
```


Th2Co3As3: optimized geometry, PBE-GGA. Values from VASP.

Energy of formation from the pure elements ... -616 meV/atom

```
&SYSTEM
  ibrav = 0, nat = 8, ntyp = 3
/
ATOMIC_SPECIES
Th 232.04 Th.upf
Co 58.93 Co.upf
As 74.92 As.upf
CELL_PARAMETERS angstrom
3.978 0.000 0.000
-1.976 3.492 0.000
-0.048 -2.254 10.385
ATOMIC_POSITIONS crystal
Th 0.000 0.000 0.000
Th 0.486 0.992 0.448
Co 0.096 0.203 0.283
Co 0.242 0.493 0.723
Co 0.390 0.791 0.163
As 0.605 0.214 0.812
As 0.743 0.498 0.224
As 0.880 0.774 0.635
```


MgCl2: optimized geometry, PBE-GGA. Values from VASP.

Energy of formation from the pure elements ... -2182 meV/atom
Maximum piezoelectric response ... 0.2 C/m2

```
&SYSTEM
  ibrav = 0, nat = 3, ntyp = 2
/
ATOMIC_SPECIES
Mg 24.30 Mg.upf
Cl 35.45 Cl.upf
CELL_PARAMETERS angstrom
3.933 0.000 0.000
0.000 3.933 0.000
0.000 0.000 5.664
ATOMIC_POSITIONS crystal
Mg 0.000 0.000 0.000
Cl 0.000 0.500 0.765
Cl 0.500 0.000 0.235
```


Na2Ta2Ga6Si3S9O48: optimized geometry, PBE-GGA. Values from VASP.

Energy of formation from the pure elements ... -2240 meV/atom

```
&SYSTEM
  ibrav = 0, nat = 210, ntyp = 6
/
ATOMIC_SPECIES
Na 22.99 Na.upf
Ta 180.95 Ta.upf
Ga 69.72 Ga.upf
Si 28.09 Si.upf
S 32.06 S.upf
O 16.00 O.upf
CELL_PARAMETERS angstrom
8.599 0.000 0.000
-0.073 14.953 0.000
-0.026 -0.108 22.341
ATOMIC_POSITIONS crystal
Na 0.000 0.000 0.000
Na 0.002 0.334 0.834
Na 0.007 0.998 0.495
Na 0.508 0.497 0.998
Na 0.512 0.835 0.332
Na 0.513 0.499 0.497
Ta 0.000 0.665 0.310
Ta 0.015 0.331 0.193
Ta 0.502 0.836 0.689
Ta 0.513 0.164 0.811
Ta 0.518 0.840 0.978
Ta 0.995 0.338 0.475
Ga 0.001 0.333 0.679
Ga 0.004 0.000 0.147
Ga 0.004 0.671 0.023
Ga 0.004 0.999 0.349
Ga 0.007 0.666 0.813
Ga 0.008 0.001 0.851
Ga 0.013 0.004 0.648
Ga 0.498 0.164 0.307
Ga 0.502 0.501 0.149
Ga 0.507 0.499 0.350
Ga 0.508 0.172 0.519
Ga 0.511 0.494 0.852
Ga 0.514 0.496 0.644
Ga 0.515 0.836 0.181
Ga 0.516 0.833 0.475
Ga 0.522 0.170 0.015
Ga 0.993 0.670 0.511
Ga 0.995 0.332 0.980
Si 0.154 0.134 0.250
Si 0.232 0.504 0.249
Si 0.282 0.004 0.750
Si 0.654 0.316 0.917
Si 0.663 0.025 0.916
Si 0.709 0.332 0.585
Si 0.808 0.835 0.087
Si 0.850 0.526 0.415
Si 0.863 0.818 0.416
S 0.148 0.810 0.915
S 0.151 0.482 0.583
S 0.151 0.525 0.915
S 0.153 0.188 0.582
S 0.158 0.857 0.247
S 0.215 0.833 0.579
S 0.217 0.168 0.917
S 0.297 0.333 0.079
S 0.297 0.668 0.417
S 0.357 0.358 0.747
S 0.360 0.640 0.749
S 0.362 0.687 0.082
S 0.362 0.983 0.083
S 0.364 0.024 0.417
S 0.366 0.311 0.415
S 0.645 0.647 0.247
S 0.647 0.355 0.248
S 0.652 0.689 0.581
S 0.654 0.980 0.581
S 0.714 0.001 0.249
S 0.719 0.665 0.914
S 0.790 0.164 0.414
S 0.799 0.502 0.749
S 0.860 0.189 0.081
S 0.860 0.479 0.082
S 0.867 0.147 0.747
S 0.868 0.854 0.748
O 0.067 0.098 0.309
O 0.073 0.099 0.587
O 0.076 0.236 0.237
O 0.077 0.769 0.968
O 0.078 0.563 0.860
O 0.080 0.230 0.528
O 0.080 0.899 0.909
O 0.081 0.570 0.574
O 0.082 0.892 0.194
O 0.083 0.434 0.922
O 0.083 0.440 0.636
O 0.087 0.767 0.256
O 0.113 0.418 0.237
O 0.116 0.589 0.258
O 0.117 0.088 0.909
O 0.117 0.914 0.588
O 0.122 0.080 0.188
O 0.122 0.250 0.922
O 0.123 0.751 0.575
O 0.125 0.581 0.969
O 0.126 0.755 0.859
O 0.129 0.422 0.529
O 0.132 0.243 0.636
O 0.137 0.910 0.302
O 0.184 0.981 0.808
O 0.185 0.347 0.740
O 0.191 0.018 0.688
O 0.192 0.655 0.757
O 0.192 0.987 0.085
O 0.194 0.015 0.411
O 0.194 0.319 0.425
O 0.194 0.677 0.072
O 0.197 0.321 0.134
O 0.197 0.351 0.026
O 0.201 0.683 0.362
O 0.203 0.651 0.471
O 0.311 0.151 0.970
O 0.313 0.183 0.861
O 0.317 0.850 0.527
O 0.319 0.818 0.923
O 0.319 0.821 0.635
O 0.320 0.177 0.573
O 0.322 0.518 0.907
O 0.323 0.490 0.589
O 0.324 0.520 0.188
O 0.329 0.483 0.308
O 0.330 0.845 0.240
O 0.335 0.157 0.257
O 0.378 0.414 0.801
O 0.383 0.743 0.136
O 0.386 0.587 0.694
O 0.388 0.256 0.361
O 0.389 0.921 0.028
O 0.390 0.251 0.074
O 0.391 0.080 0.472
O 0.392 0.750 0.422
O 0.396 0.589 0.409
O 0.397 0.414 0.087
O 0.399 0.088 0.757
O 0.400 0.916 0.737
O 0.428 0.269 0.756
O 0.431 0.397 0.694
O 0.432 0.401 0.410
O 0.432 0.940 0.135
O 0.433 0.731 0.028
O 0.433 0.732 0.739
O 0.433 0.933 0.424
O 0.434 0.271 0.469
O 0.435 0.070 0.073
O 0.437 0.604 0.803
O 0.439 0.062 0.363
O 0.439 0.599 0.086
O 0.569 0.273 0.975
O 0.574 0.413 0.908
O 0.574 0.927 0.922
O 0.575 0.736 0.242
O 0.576 0.067 0.857
O 0.576 0.601 0.590
O 0.576 0.729 0.528
O 0.579 0.394 0.193
O 0.580 0.066 0.575
O 0.580 0.607 0.302
O 0.583 0.266 0.257
O 0.583 0.935 0.636
O 0.608 0.245 0.571
O 0.608 0.424 0.588
O 0.610 0.920 0.243
O 0.615 0.587 0.906
O 0.618 0.745 0.923
O 0.620 0.082 0.257
O 0.621 0.253 0.857
O 0.621 0.747 0.636
O 0.628 0.081 0.975
O 0.630 0.591 0.193
O 0.631 0.922 0.529
O 0.634 0.412 0.302
O 0.667 0.510 0.405
O 0.674 0.823 0.421
O 0.687 0.489 0.089
O 0.690 0.183 0.076
O 0.690 0.815 0.140
O 0.690 0.851 0.025
O 0.694 0.843 0.738
O 0.695 0.156 0.754
O 0.697 0.151 0.469
O 0.697 0.184 0.361
O 0.701 0.485 0.802
O 0.703 0.519 0.695
O 0.806 0.016 0.194
O 0.807 0.981 0.303
O 0.813 0.684 0.860
O 0.814 0.649 0.968
O 0.818 0.656 0.254
O 0.819 0.347 0.238
O 0.820 0.316 0.641
O 0.821 0.681 0.577
O 0.826 0.350 0.525
O 0.826 0.988 0.591
O 0.843 0.323 0.921
O 0.846 0.010 0.905
O 0.880 0.910 0.802
O 0.881 0.423 0.027
O 0.883 0.091 0.693
O 0.884 0.580 0.476
O 0.890 0.247 0.134
O 0.893 0.087 0.410
O 0.894 0.246 0.423
O 0.894 0.752 0.357
O 0.898 0.583 0.757
O 0.900 0.422 0.743
O 0.904 0.747 0.071
O 0.909 0.926 0.090
O 0.930 0.438 0.135
O 0.933 0.101 0.087
O 0.933 0.764 0.756
O 0.933 0.893 0.694
O 0.934 0.107 0.802
O 0.934 0.567 0.073
O 0.936 0.229 0.027
O 0.939 0.237 0.742
O 0.939 0.428 0.423
O 0.939 0.568 0.357
O 0.942 0.916 0.406
O 0.945 0.776 0.475
```


DyAlB14: optimized geometry, PBE-GGA. Values from VASP.

Energy of formation from the pure elements ... -163 meV/atom

```
&SYSTEM
  ibrav = 0, nat = 32, ntyp = 3
/
ATOMIC_SPECIES
Dy 162.50 Dy.upf
Al 26.98 Al.upf
B 10.81 B.upf
CELL_PARAMETERS angstrom
-2.956 5.236 4.127
2.956 -5.236 4.127
2.956 5.236 -4.127
ATOMIC_POSITIONS crystal
Dy 0.402 0.152 0.250
Dy 0.598 0.848 0.750
Al 0.000 0.000 0.500
Al 0.000 0.500 0.000
B 0.018 0.874 0.144
B 0.032 0.204 0.332
B 0.032 0.700 0.828
B 0.077 0.667 0.410
B 0.201 0.534 0.667
B 0.223 0.500 0.398
B 0.223 0.824 0.723
B 0.230 0.874 0.356
B 0.243 0.333 0.910
B 0.366 0.534 0.833
B 0.372 0.204 0.672
B 0.372 0.700 0.168
B 0.398 0.176 0.898
B 0.398 0.500 0.223
B 0.602 0.500 0.777
B 0.602 0.824 0.102
B 0.628 0.300 0.832
B 0.628 0.796 0.328
B 0.634 0.466 0.167
B 0.757 0.667 0.090
B 0.770 0.126 0.644
B 0.777 0.176 0.277
B 0.777 0.500 0.602
B 0.799 0.466 0.333
B 0.923 0.333 0.590
B 0.968 0.300 0.172
B 0.968 0.796 0.668
B 0.982 0.126 0.856
```


Tc3Os: optimized geometry, PBE-GGA. Values from VASP.

Energy of formation from the pure elements ... -55 meV/atom
Distance to the lowest polymorph of the same formula ... 0 meV per atom

```
&SYSTEM
  ibrav = 0, nat = 8, ntyp = 2
/
ATOMIC_SPECIES
Tc 98.00 Tc.upf
Os 190.23 Os.upf
CELL_PARAMETERS angstrom
5.531 0.000 0.000
-2.766 4.790 0.000
0.000 0.000 4.381
ATOMIC_POSITIONS crystal
Tc 0.166 0.333 0.250
Tc 0.166 0.834 0.250
Tc 0.333 0.166 0.750
Tc 0.667 0.834 0.250
Tc 0.834 0.166 0.750
Tc 0.834 0.667 0.750
Os 0.333 0.667 0.750
Os 0.667 0.333 0.250
```


LiTi2O4: optimized geometry, PBE-GGA. Values from VASP.

Energy of formation from the pure elements ... -3220 meV/atom
Distance to the lowest polymorph of the same formula ... 26 meV per atom

```
&SYSTEM
  ibrav = 0, nat = 28, ntyp = 3
/
ATOMIC_SPECIES
Li 6.94 Li.upf
Ti 47.87 Ti.upf
O 16.00 O.upf
CELL_PARAMETERS angstrom
8.210 0.000 0.000
0.000 9.167 0.000
0.000 0.000 3.813
ATOMIC_POSITIONS crystal
Li 0.123 0.159 0.000
Li 0.377 0.659 0.500
Li 0.623 0.341 0.500
Li 0.877 0.841 0.000
Ti 0.117 0.606 0.000
Ti 0.140 0.884 0.500
Ti 0.360 0.384 0.000
Ti 0.383 0.106 0.500
Ti 0.617 0.894 0.500
Ti 0.640 0.616 0.000
Ti 0.860 0.116 0.500
Ti 0.883 0.394 0.000
O 0.116 0.844 0.000
O 0.125 0.094 0.500
O 0.125 0.386 0.000
O 0.135 0.650 0.500
O 0.365 0.150 0.000
O 0.375 0.594 0.000
O 0.375 0.886 0.500
O 0.384 0.344 0.500
O 0.616 0.656 0.500
O 0.625 0.114 0.500
O 0.625 0.406 0.000
O 0.635 0.850 0.000
O 0.865 0.350 0.500
O 0.875 0.614 0.000
O 0.875 0.906 0.500
O 0.884 0.156 0.000
```